# 1
Below is Ba5P9 after structural relaxation, with properties calculated at the PBE-GGA level.

Properties
symmetry: No. 43
calculated formation energy: -0.840 eV/atom
crystal system: orthorhombic
E: -140.1 eV for the cell shown

Cell lengths 12.444, 10.926, 9.454 Å; angles 74.88, 57.95, 47.17 degrees
Element x y z (fractional)
Ba1 0.622 0.011 0.350
Ba2 0.839 0.661 0.661
Ba3 0.239 0.628 0.234
Ba4 0.016 0.350 0.011
Ba5 0.100 0.682 0.868
Ba6 0.589 0.411 0.411
Ba7 0.568 0.150 0.900
Ba8 0.382 0.900 0.150
Ba9 0.350 0.868 0.682
Ba10 0.900 0.234 0.628
P1 0.532 0.614 0.892
P2 0.025 0.532 0.248
P3 0.753 0.767 0.036
P4 0.974 0.026 0.026
P5 0.718 0.225 0.055
P6 0.224 0.276 0.276
P7 0.443 0.036 0.767
P8 0.002 0.055 0.225
P9 0.195 0.248 0.532
P10 0.256 0.391 0.545
P11 0.358 0.287 0.718
P12 0.214 0.807 0.497
P13 0.963 0.892 0.614
P14 0.636 0.718 0.287
P15 0.483 0.497 0.807
P16 0.705 0.443 0.994
P17 0.807 0.545 0.391
P18 0.859 0.994 0.443



# 2
Below is HoBH4 after structural relaxation, with properties calculated at the PBE-GGA level.

Properties
symmetry: No. 5
calculated formation energy: -0.301 eV/atom
crystal system: monoclinic
E: -77.8 eV for the cell shown

Cell lengths 4.103, 5.676, 6.800 Å; angles 114.67, 107.53, 90.01 degrees
Element x y z (fractional)
Ho1 0.000 0.533 0.000
Ho2 0.349 0.895 0.673
Ho3 0.651 0.222 0.327
B1 0.000 0.052 0.000
B2 0.329 0.387 0.668
B3 0.672 0.719 0.332
H1 0.907 0.089 0.815
H2 0.093 0.274 0.185
H3 0.749 0.913 0.996
H4 0.250 0.916 0.004
H5 0.085 0.523 0.676
H6 0.915 0.847 0.324
H7 0.414 0.336 0.841
H8 0.586 0.496 0.159
H9 0.582 0.520 0.673
H10 0.419 0.848 0.327
H11 0.236 0.177 0.482
H12 0.764 0.695 0.518



# 3
Below is DyGaPd2 after structural relaxation, with properties calculated at the PBE-GGA level.

Properties
symmetry: No. 62
calculated formation energy: -0.899 eV/atom
crystal system: orthorhombic
E: -86.4 eV for the cell shown

Cell lengths 5.608, 7.167, 7.403 Å; angles 90.00, 90.00, 90.00 degrees
Element x y z (fractional)
Dy1 0.351 0.750 0.032
Dy2 0.149 0.750 0.532
Dy3 0.649 0.250 0.968
Dy4 0.851 0.250 0.468
Ga1 0.648 0.750 0.383
Ga2 0.852 0.750 0.883
Ga3 0.352 0.250 0.617
Ga4 0.148 0.250 0.117
Pd1 0.912 0.551 0.181
Pd2 0.588 0.949 0.681
Pd3 0.088 0.051 0.819
Pd4 0.412 0.449 0.319
Pd5 0.088 0.449 0.819
Pd6 0.412 0.051 0.319
Pd7 0.912 0.949 0.181
Pd8 0.588 0.551 0.681



# 4
Below is Ba3NbN3 after structural relaxation, with properties calculated at the PBE-GGA level.

Properties
symmetry: No. 176
calculated formation energy: -0.857 eV/atom
crystal system: hexagonal
E: -91.6 eV for the cell shown

Cell lengths 8.383, 8.383, 5.840 Å; angles 90.00, 90.00, 120.00 degrees
Element x y z (fractional)
Ba1 0.891 0.638 0.250
Ba2 0.747 0.109 0.250
Ba3 0.362 0.253 0.250
Ba4 0.109 0.362 0.750
Ba5 0.253 0.891 0.750
Ba6 0.638 0.747 0.750
Nb1 0.667 0.333 0.750
Nb2 0.333 0.667 0.250
N1 0.863 0.592 0.750
N2 0.728 0.137 0.750
N3 0.408 0.272 0.750
N4 0.137 0.408 0.250
N5 0.272 0.863 0.250
N6 0.592 0.728 0.250